(1)
! Sn3Pd (PBE, relaxed); values from VASP
&SYSTEM
  ibrav = 0, nat = 16, ntyp = 2
/
ATOMIC_SPECIES
Sn 118.71 Sn.upf
Pd 106.42 Pd.upf
ATOMIC_POSITIONS crystal
Sn 0.1602 0.1602 0.3379
Sn 0.6602 0.6602 0.1621
Sn 0.3398 0.3398 0.8379
Sn 0.8398 0.8398 0.6621
Sn 0.1617 0.4971 0.1703
Sn 0.9971 0.6617 0.3297
Sn 0.3383 0.0029 0.6703
Sn 0.5029 0.8383 0.8297
Sn 0.8383 0.5029 0.8297
Sn 0.0029 0.3383 0.6703
Sn 0.6617 0.9971 0.3297
Sn 0.4971 0.1617 0.1703
Pd 0.9148 0.0852 0.0000
Pd 0.5852 0.4148 0.5000
Pd 0.0852 0.9148 0.0000
Pd 0.4148 0.5852 0.5000
CELL_PARAMETERS angstrom
-2.0338 9.1019 0.4476
1.8956 -6.4641 -6.4655
-6.4292 -1.4134 -0.4719
! energy of formation from the pure elements = -6.749 kcal/mol of atoms
! uncorrected energy = -18.4 eV per formula unit



(2)
! Sn9Pd13 (PBE, relaxed); values from VASP
&SYSTEM
  ibrav = 0, nat = 66, ntyp = 2
/
ATOMIC_SPECIES
Sn 118.71 Sn.upf
Pd 106.42 Pd.upf
ATOMIC_POSITIONS crystal
Sn 0.1929 0.3069 0.5818
Sn 0.6931 0.8860 0.9151
Sn 0.3069 0.1929 0.4182
Sn 0.1140 0.8071 0.2484
Sn 0.8860 0.6931 0.0849
Sn 0.8071 0.1140 0.7516
Sn 0.6158 0.3058 0.5781
Sn 0.6942 0.3100 0.9114
Sn 0.3058 0.6158 0.4219
Sn 0.6900 0.3842 0.2447
Sn 0.3100 0.6942 0.0886
Sn 0.3842 0.6900 0.7553
Sn 0.4970 0.0000 0.3333
Sn 0.0000 0.4970 0.6667
Sn 0.5030 0.5030 0.0000
Sn 0.1161 0.3105 0.9108
Sn 0.6895 0.8056 0.2441
Sn 0.3105 0.1161 0.0892
Sn 0.1944 0.8839 0.5775
Sn 0.8056 0.6895 0.7559
Sn 0.8839 0.1944 0.4225
Sn 0.3354 0.1680 0.7534
Sn 0.8320 0.1674 0.0867
Sn 0.1680 0.3354 0.2466
Sn 0.8326 0.6646 0.4200
Sn 0.1674 0.8320 0.9133
Sn 0.6646 0.8326 0.5800
Pd 0.1598 0.3380 0.7482
Pd 0.6620 0.8219 0.0815
Pd 0.3380 0.1598 0.2518
Pd 0.1781 0.8402 0.4149
Pd 0.8219 0.6620 0.9185
Pd 0.8402 0.1781 0.5851
Pd 0.4953 0.0000 0.8333
Pd 0.0000 0.4953 0.1667
Pd 0.5047 0.5047 0.5000
Pd 0.3386 0.1788 0.9251
Pd 0.8212 0.1598 0.2584
Pd 0.1788 0.3386 0.0749
Pd 0.8402 0.6614 0.5917
Pd 0.1598 0.8212 0.7416
Pd 0.6614 0.8402 0.4083
Pd 0.0020 0.0000 0.8333
Pd 0.0000 0.0020 0.1667
Pd 0.9980 0.9980 0.5000
Pd 0.5006 0.0002 0.6663
Pd 0.9998 0.5004 0.9997
Pd 0.0002 0.5006 0.3337
Pd 0.4996 0.4994 0.3330
Pd 0.5004 0.9998 0.0003
Pd 0.4994 0.4996 0.6670
Pd 0.3187 0.6592 0.5872
Pd 0.3408 0.6595 0.9205
Pd 0.6592 0.3187 0.4128
Pd 0.3405 0.6813 0.2538
Pd 0.6595 0.3408 0.0795
Pd 0.6813 0.3405 0.7462
Pd 0.9999 0.0000 0.3333
Pd 0.0000 0.9999 0.6667
Pd 0.0001 0.0001 0.0000
Pd 0.0029 0.5058 0.8301
Pd 0.4942 0.4971 0.1634
Pd 0.5058 0.0029 0.1699
Pd 0.5029 0.9971 0.4967
Pd 0.4971 0.4942 0.8366
Pd 0.9971 0.5029 0.5033
CELL_PARAMETERS angstrom
-8.5652 2.3434 1.3723
2.9180 -1.6832 -8.3301
-4.2177 -16.5034 1.8573
! energy of formation from the pure elements = -12.215 kcal/mol of atoms
! uncorrected energy = -115.1 eV per formula unit



(3)
! SnPd3 (PBE, relaxed); values from VASP
&SYSTEM
  ibrav = 0, nat = 4, ntyp = 2
/
ATOMIC_SPECIES
Sn 118.71 Sn.upf
Pd 106.42 Pd.upf
ATOMIC_POSITIONS crystal
Sn 0.0000 0.0000 0.0000
Pd 0.0000 0.5000 0.5000
Pd 0.5000 0.5000 0.0000
Pd 0.5000 0.0000 0.5000
CELL_PARAMETERS angstrom
-2.1714 -0.7934 -3.3215
2.9203 -2.4718 -1.3187
-1.7702 -3.1044 1.8989
! energy of formation from the pure elements = -11.919 kcal/mol of atoms
! uncorrected energy = -21.6 eV per formula unit



(4)
! SnPd2 (PBE, relaxed); values from VASP
&SYSTEM
  ibrav = 0, nat = 12, ntyp = 2
/
ATOMIC_SPECIES
Sn 118.71 Sn.upf
Pd 106.42 Pd.upf
ATOMIC_POSITIONS crystal
Sn 0.7500 0.7983 0.8933
Sn 0.7500 0.2983 0.6067
Sn 0.2500 0.2017 0.1067
Sn 0.2500 0.7017 0.3933
Pd 0.7500 0.4526 0.2844
Pd 0.7500 0.9526 0.2156
Pd 0.2500 0.5474 0.7156
Pd 0.2500 0.0474 0.7844
Pd 0.7500 0.3256 0.9324
Pd 0.7500 0.8256 0.5676
Pd 0.2500 0.6744 0.0676
Pd 0.2500 0.1744 0.4324
CELL_PARAMETERS angstrom
-0.8735 -4.2272 0.3430
1.4516 0.1495 5.5390
-7.9372 1.8050 2.0314
! energy of formation from the pure elements = -12.468 kcal/mol of atoms
! uncorrected energy = -16.0 eV per formula unit



(5)
! TbSnPd (PBE, relaxed); values from VASP
&SYSTEM
  ibrav = 0, nat = 12, ntyp = 3
/
ATOMIC_SPECIES
Tb 158.93 Tb.upf
Sn 118.71 Sn.upf
Pd 106.42 Pd.upf
ATOMIC_POSITIONS crystal
Tb 0.7500 0.0102 0.2081
Tb 0.2500 0.9898 0.7919
Tb 0.7500 0.5102 0.2919
Tb 0.2500 0.4898 0.7081
Sn 0.7500 0.1965 0.5888
Sn 0.2500 0.8035 0.4112
Sn 0.7500 0.6965 0.9112
Sn 0.2500 0.3035 0.0888
Pd 0.7500 0.7969 0.5825
Pd 0.2500 0.2031 0.4175
Pd 0.7500 0.2969 0.9175
Pd 0.2500 0.7031 0.0825
CELL_PARAMETERS angstrom
4.6611 0.0000 0.0000
0.0000 7.2630 0.0000
0.0000 0.0000 7.9979
! energy of formation from the pure elements = -21.290 kcal/mol of atoms
! uncorrected energy = -16.6 eV per formula unit



(6)
! TbSnPd2 (PBE, relaxed); values from VASP
&SYSTEM
  ibrav = 0, nat = 4, ntyp = 3
/
ATOMIC_SPECIES
Tb 158.93 Tb.upf
Sn 118.71 Sn.upf
Pd 106.42 Pd.upf
ATOMIC_POSITIONS crystal
Tb 0.5000 0.5000 0.5000
Sn 0.0000 0.0000 0.0000
Pd 0.2500 0.2500 0.2500
Pd 0.7500 0.7500 0.7500
CELL_PARAMETERS angstrom
3.7050 -1.4739 2.7098
1.3912 -4.6142 -0.1233
4.1795 -1.2027 -2.0801
! energy of formation from the pure elements = -20.032 kcal/mol of atoms
! uncorrected energy = -22.5 eV per formula unit



(7)
! SnTePd (PBE, relaxed); values from VASP
&SYSTEM
  ibrav = 0, nat = 24, ntyp = 3
/
ATOMIC_SPECIES
Sn 118.71 Sn.upf
Te 127.60 Te.upf
Pd 106.42 Pd.upf
ATOMIC_POSITIONS crystal
Sn 0.3592 0.1824 0.5653
Sn 0.6408 0.8176 0.4347
Sn 0.1408 0.8176 0.0653
Sn 0.1408 0.6824 0.5653
Sn 0.3592 0.3176 0.0653
Sn 0.8592 0.3176 0.4347
Sn 0.8592 0.1824 0.9347
Sn 0.6408 0.6824 0.9347
Te 0.6280 0.0522 0.1784
Te 0.1280 0.4478 0.8216
Te 0.8720 0.5522 0.1784
Te 0.3720 0.9478 0.8216
Te 0.1280 0.0522 0.3216
Te 0.8720 0.9478 0.6784
Te 0.6280 0.4478 0.6784
Te 0.3720 0.5522 0.3216
Pd 0.9971 0.6779 0.3717
Pd 0.4971 0.6779 0.1283
Pd 0.9971 0.8221 0.8717
Pd 0.0029 0.3221 0.6283
Pd 0.5029 0.3221 0.8717
Pd 0.4971 0.8221 0.6283
Pd 0.5029 0.1779 0.3717
Pd 0.0029 0.1779 0.1283
CELL_PARAMETERS angstrom
-5.8575 1.0062 3.0594
2.7192 -1.9206 5.8378
3.4243 12.3896 2.4812
! energy of formation from the pure elements = -10.213 kcal/mol of atoms
! uncorrected energy = -13.7 eV per formula unit



(8)
! SnTe2Pd6 (PBE, relaxed); values from VASP
&SYSTEM
  ibrav = 0, nat = 9, ntyp = 3
/
ATOMIC_SPECIES
Sn 118.71 Sn.upf
Te 127.60 Te.upf
Pd 106.42 Pd.upf
ATOMIC_POSITIONS crystal
Sn 0.9998 0.9998 0.0000
Te 0.6769 0.6769 0.0000
Te 0.3183 0.3183 0.0000
Pd 0.9064 0.4064 0.5000
Pd 0.4064 0.9064 0.5000
Pd 0.0958 0.5958 0.5000
Pd 0.5958 0.0958 0.5000
Pd 0.5012 0.5012 0.0000
Pd 0.8020 0.8020 0.0000
CELL_PARAMETERS angstrom
-2.0427 2.0427 10.4937
2.0427 -2.0427 10.4937
2.0427 2.0427 -10.4937
! energy of formation from the pure elements = -9.811 kcal/mol of atoms
! uncorrected energy = -45.2 eV per formula unit



(9)
! TmSnPd2 (PBE, relaxed); values from VASP
&SYSTEM
  ibrav = 0, nat = 4, ntyp = 3
/
ATOMIC_SPECIES
Tm 168.93 Tm.upf
Sn 118.71 Sn.upf
Pd 106.42 Pd.upf
ATOMIC_POSITIONS crystal
Tm 0.5000 0.5000 0.5000
Sn 0.0000 0.0000 0.0000
Pd 0.2500 0.2500 0.2500
Pd 0.7500 0.7500 0.7500
CELL_PARAMETERS angstrom
1.6391 4.4597 0.4283
-1.4801 3.3854 -3.0178
-2.8933 3.4673 1.5380
! energy of formation from the pure elements = -20.694 kcal/mol of atoms
! uncorrected energy = -22.4 eV per formula unit



(10)
! TmSnPd (PBE, relaxed); values from VASP
&SYSTEM
  ibrav = 0, nat = 9, ntyp = 3
/
ATOMIC_SPECIES
Tm 168.93 Tm.upf
Sn 118.71 Sn.upf
Pd 106.42 Pd.upf
ATOMIC_POSITIONS crystal
Tm 0.0000 0.4006 0.5000
Tm 0.5994 0.5994 0.5000
Tm 0.4006 0.0000 0.5000
Sn 0.0000 0.7361 0.0000
Sn 0.2639 0.2639 0.0000
Sn 0.7361 0.0000 0.0000
Pd 0.3333 0.6667 0.0000
Pd 0.6667 0.3333 0.0000
Pd 0.0000 0.0000 0.5000
CELL_PARAMETERS angstrom
3.8224 -6.6207 0.0000
3.8224 6.6207 0.0000
0.0000 0.0000 3.8160
! energy of formation from the pure elements = -21.301 kcal/mol of atoms
! uncorrected energy = -16.4 eV per formula unit



(11)
! YTm3Sn4Pd8 (PBE, relaxed); values from VASP
&SYSTEM
  ibrav = 0, nat = 16, ntyp = 4
/
ATOMIC_SPECIES
Y 88.91 Y.upf
Tm 168.93 Tm.upf
Sn 118.71 Sn.upf
Pd 106.42 Pd.upf
ATOMIC_POSITIONS crystal
Y 0.5000 0.5000 0.5000
Tm 0.7500 0.7500 0.7500
Tm 0.0000 0.0000 0.0000
Tm 0.2500 0.2500 0.2500
Sn 0.6250 0.6250 0.6250
Sn 0.3750 0.3750 0.3750
Sn 0.8751 0.8751 0.8751
Sn 0.1249 0.1249 0.1249
Pd 0.9375 0.9375 0.9375
Pd 0.6875 0.6875 0.6875
Pd 0.1880 0.1880 0.1880
Pd 0.4370 0.4370 0.4370
Pd 0.5630 0.5630 0.5630
Pd 0.3125 0.3125 0.3125
Pd 0.8120 0.8120 0.8120
Pd 0.0625 0.0625 0.0625
CELL_PARAMETERS angstrom
15.6066 -2.3991 0.0000
15.6066 2.3991 0.0000
15.2378 0.0000 4.1389
! energy of formation from the pure elements = -20.333 kcal/mol of atoms
! uncorrected energy = -91.5 eV per formula unit



(12)
! USnPd (PBE, relaxed); values from VASP
&SYSTEM
  ibrav = 0, nat = 6, ntyp = 3
/
ATOMIC_SPECIES
U 238.03 U.upf
Sn 118.71 Sn.upf
Pd 106.42 Pd.upf
ATOMIC_POSITIONS crystal
U 0.0001 0.9999 0.7626
U 0.9999 0.0001 0.2374
Sn 0.3333 0.6667 0.4977
Sn 0.6667 0.3333 0.5023
Pd 0.6667 0.3333 0.0017
Pd 0.3333 0.6667 0.9983
CELL_PARAMETERS angstrom
-2.5547 -4.4235 0.0002
-2.5547 4.4235 -0.0002
0.0000 0.0003 -5.5529
! energy of formation from the pure elements = -6.484 kcal/mol of atoms
! uncorrected energy = -21.3 eV per formula unit